1.
Below is an optimized crystal structure of MoH20C7NClO6, with properties calculated at the GGA+U level.

Geometry as CIF:
```
data_MoH20C7NClO6
_space_group_name_H-M_alt 'P 21 21 21'
_space_group_IT_number 19
_space_group_name_Hall 'P 2ac 2ab'
_cell_length_a 8.493
_cell_length_b 12.190
_cell_length_c 14.930
_cell_angle_alpha 90.00
_cell_angle_beta 90.00
_cell_angle_gamma 90.00
loop_
_atom_site_label
_atom_site_type_symbol
_atom_site_fract_x
_atom_site_fract_y
_atom_site_fract_z
_atom_site_occupancy
Mo1 Mo 0.249 0.060 0.477 1
H1 H 0.015 0.777 0.384 1
H2 H 0.021 0.094 0.810 1
H3 H 0.030 0.846 0.681 1
H4 H 0.039 0.262 0.909 1
H5 H 0.045 0.842 0.279 1
H6 H 0.046 0.678 0.779 1
H7 H 0.049 0.698 0.287 1
H8 H 0.118 0.480 0.193 1
H9 H 0.137 0.569 0.559 1
H10 H 0.142 0.402 0.349 1
H11 H 0.150 0.274 0.810 1
H12 H 0.152 0.298 0.514 1
H13 H 0.157 0.555 0.854 1
H14 H 0.159 0.396 0.061 1
H15 H 0.160 0.700 0.013 1
H16 H 0.182 0.477 0.696 1
H17 H 0.190 0.543 0.344 1
H18 H 0.197 0.710 0.547 1
H19 H 0.203 0.249 0.280 1
H20 H 0.230 0.186 0.175 1
C1 C 0.009 0.272 0.188 1
C2 C 0.030 0.269 0.836 1
C3 C 0.045 0.669 0.707 1
C4 C 0.183 0.259 0.208 1
C5 C 0.223 0.632 0.579 1
C6 C 0.228 0.461 0.323 1
C7 C 0.234 0.461 0.221 1
N1 N 0.214 0.646 0.679 1
Cl1 Cl 0.245 0.946 0.139 1
O1 O 0.019 0.094 0.482 1
O2 O 0.021 0.903 0.977 1
O3 O 0.082 0.099 0.391 1
O4 O 0.091 0.899 0.887 1
O5 O 0.247 0.255 0.500 1
O6 O 0.249 0.081 0.967 1
```

Properties
* energy of formation from the pure elements: -478.6 meV/atom

2.
Below is an optimized crystal structure of CsFe3P3O14, with properties calculated at the GGA+U level.

Geometry as CIF:
```
data_CsFe3P3O14
_space_group_name_H-M_alt 'C 1 2/c 1'
_space_group_IT_number 15
_space_group_name_Hall '-C 2yc'
_cell_length_a 13.400
_cell_length_b 10.856
_cell_length_c 9.141
_cell_angle_alpha 90.00
_cell_angle_beta 107.73
_cell_angle_gamma 90.00
loop_
_atom_site_label
_atom_site_type_symbol
_atom_site_fract_x
_atom_site_fract_y
_atom_site_fract_z
_atom_site_occupancy
Cs1 Cs 0.000 0.144 0.250 1
Fe1 Fe 0.000 0.234 0.750 1
Fe2 Fe 0.179 0.425 0.573 1
P1 P 0.000 0.491 0.750 1
P2 P 0.208 0.133 0.676 1
O1 O 0.063 0.426 0.383 1
O2 O 0.070 0.397 0.695 1
O3 O 0.095 0.121 0.687 1
O4 O 0.103 0.215 0.964 1
O5 O 0.212 0.060 0.532 1
O6 O 0.214 0.422 0.178 1
O7 O 0.238 0.270 0.662 1
```

Properties
* energy of formation from the pure elements: -2040.8 meV/atom

3.
Below is an optimized crystal structure of Li5Cr2Ni3O10, with properties calculated at the GGA+U level.

Geometry as CIF:
```
data_Li5Cr2Ni3O10
_space_group_name_H-M_alt 'P -1'
_space_group_IT_number 2
_space_group_name_Hall '-P 1'
_cell_length_a 5.062
_cell_length_b 5.098
_cell_length_c 7.665
_cell_angle_alpha 71.49
_cell_angle_beta 71.63
_cell_angle_gamma 80.40
loop_
_atom_site_label
_atom_site_type_symbol
_atom_site_fract_x
_atom_site_fract_y
_atom_site_fract_z
_atom_site_occupancy
Li1 Li 0.000 0.000 0.000 1
Li2 Li 0.495 0.712 0.098 1
Li3 Li 0.496 0.905 0.703 1
Cr1 Cr 0.006 0.390 0.196 1
Ni1 Ni 0.001 0.199 0.601 1
Ni2 Ni 0.500 0.500 0.500 1
O1 O 0.227 0.630 0.950 1
O2 O 0.230 0.069 0.159 1
O3 O 0.231 0.275 0.745 1
O4 O 0.233 0.448 0.345 1
O5 O 0.236 0.837 0.559 1
```

Properties
* energy of formation from the pure elements: -1869.5 meV/atom

4.
Below is an optimized crystal structure of LiCoPO4, with properties calculated at the GGA+U level.

Geometry as CIF:
```
data_LiCoPO4
_space_group_name_H-M_alt 'P n m a'
_space_group_IT_number 62
_space_group_name_Hall '-P 2ac 2n'
_cell_length_a 9.099
_cell_length_b 6.416
_cell_length_c 4.925
_cell_angle_alpha 90.00
_cell_angle_beta 90.00
_cell_angle_gamma 90.00
loop_
_atom_site_label
_atom_site_type_symbol
_atom_site_fract_x
_atom_site_fract_y
_atom_site_fract_z
_atom_site_occupancy
Li1 Li 0.162 0.250 0.040 1
Co1 Co 0.000 0.000 0.500 1
P1 P 0.179 0.750 0.029 1
O1 O 0.120 0.550 0.165 1
O2 O 0.135 0.750 0.722 1
O3 O 0.149 0.250 0.576 1
```

Properties
* relative energy among the computed polymorphs: 46.5 meV per atom
* energy of formation from the pure elements: -2361.5 meV/atom

5.
Below is an optimized crystal structure of Co6OF11, with properties calculated at the GGA+U level.

Geometry as CIF:
```
data_Co6OF11
_space_group_name_H-M_alt 'C 1 2 1'
_space_group_IT_number 5
_space_group_name_Hall 'C 2y'
_cell_length_a 9.252
_cell_length_b 6.656
_cell_length_c 7.464
_cell_angle_alpha 90.00
_cell_angle_beta 111.32
_cell_angle_gamma 90.00
loop_
_atom_site_label
_atom_site_type_symbol
_atom_site_fract_x
_atom_site_fract_y
_atom_site_fract_z
_atom_site_occupancy
Co1 Co 0.000 0.000 0.000 1
Co2 Co 0.000 0.024 0.500 1
Co3 Co 0.159 0.532 0.158 1
Co4 Co 0.168 0.526 0.666 1
O1 O 0.000 0.709 0.000 1
F1 F 0.000 0.312 0.000 1
F2 F 0.065 0.521 0.369 1
F3 F 0.101 0.024 0.300 1
F4 F 0.171 0.219 0.670 1
F5 F 0.172 0.832 0.671 1
F6 F 0.230 0.021 0.035 1
```

Properties
* relative energy among the computed polymorphs: 3.6 meV per atom
* energy of formation from the pure elements: -2210.1 meV/atom

6.
Below is an optimized crystal structure of LiMnF4, with properties calculated at the GGA+U level.

Geometry as CIF:
```
data_LiMnF4
_space_group_name_H-M_alt 'C 1 2/c 1'
_space_group_IT_number 15
_space_group_name_Hall '-C 2yc'
_cell_length_a 11.541
_cell_length_b 5.329
_cell_length_c 5.281
_cell_angle_alpha 90.00
_cell_angle_beta 103.23
_cell_angle_gamma 90.00
loop_
_atom_site_label
_atom_site_type_symbol
_atom_site_fract_x
_atom_site_fract_y
_atom_site_fract_z
_atom_site_occupancy
Li1 Li 0.000 0.097 0.250 1
Mn1 Mn 0.250 0.250 0.000 1
F1 F 0.096 0.129 0.995 1
F2 F 0.195 0.415 0.677 1
```

Properties
* energy of formation from the pure elements: -2908.9 meV/atom

7.
Below is an optimized crystal structure of Li3V3P8O29, with properties calculated at the GGA+U level.

Geometry as CIF:
```
data_Li3V3P8O29
_space_group_name_H-M_alt 'P 1'
_space_group_IT_number 1
_space_group_name_Hall 'P 1'
_cell_length_a 9.751
_cell_length_b 9.753
_cell_length_c 14.384
_cell_angle_alpha 90.19
_cell_angle_beta 90.18
_cell_angle_gamma 119.78
loop_
_atom_site_label
_atom_site_type_symbol
_atom_site_fract_x
_atom_site_fract_y
_atom_site_fract_z
_atom_site_occupancy
Li1 Li 0.000 0.000 0.000 1
Li2 Li 0.006 0.549 0.510 1
Li3 Li 0.149 0.361 0.947 1
Li4 Li 0.395 0.403 0.504 1
Li5 Li 0.789 0.236 0.399 1
Li6 Li 0.864 0.416 0.999 1
V1 V 0.088 0.888 0.202 1
V2 V 0.097 0.763 0.697 1
V3 V 0.521 0.320 0.703 1
V4 V 0.528 0.756 0.192 1
V5 V 0.653 0.324 0.191 1
V6 V 0.655 0.887 0.697 1
P1 P 0.004 0.012 0.786 1
P2 P 0.174 0.629 0.113 1
P3 P 0.176 0.098 0.606 1
P4 P 0.306 0.235 0.108 1
P5 P 0.318 0.635 0.606 1
P6 P 0.396 0.549 0.788 1
P7 P 0.411 0.415 0.287 1
P8 P 0.426 0.989 0.814 1
P9 P 0.430 0.991 0.310 1
P10 P 0.754 0.649 0.580 1
P11 P 0.763 0.658 0.078 1
P12 P 0.771 0.231 0.611 1
P13 P 0.786 0.099 0.106 1
P14 P 0.861 0.009 0.288 1
P15 P 0.869 0.414 0.787 1
P16 P 0.998 0.549 0.292 1
O1 O 0.004 0.853 0.770 1
O2 O 0.004 0.981 0.280 1
O3 O 0.008 0.585 0.774 1
O4 O 0.066 0.555 0.385 1
O5 O 0.073 0.088 0.877 1
O6 O 0.084 0.524 0.034 1
O7 O 0.091 0.095 0.521 1
O8 O 0.099 0.123 0.701 1
O9 O 0.103 0.536 0.210 1
O10 O 0.168 0.784 0.122 1
O11 O 0.171 0.059 0.113 1
O12 O 0.175 0.664 0.606 1
O13 O 0.184 0.944 0.626 1
O14 O 0.274 0.982 0.269 1
O15 O 0.278 0.840 0.768 1
O16 O 0.287 0.316 0.027 1
O17 O 0.290 0.310 0.206 1
O18 O 0.291 0.530 0.698 1
O19 O 0.300 0.525 0.872 1
O20 O 0.322 0.547 0.523 1
O21 O 0.349 0.242 0.611 1
O22 O 0.349 0.669 0.113 1
O23 O 0.353 0.343 0.378 1
O24 O 0.421 0.137 0.771 1
O25 O 0.422 0.989 0.917 1
O26 O 0.434 0.582 0.273 1
O27 O 0.435 0.849 0.264 1
O28 O 0.436 0.413 0.776 1
O29 O 0.441 0.001 0.413 1
O30 O 0.470 0.241 0.117 1
O31 O 0.471 0.795 0.624 1
O32 O 0.550 0.709 0.778 1
O33 O 0.571 0.423 0.261 1
O34 O 0.572 0.143 0.264 1
O35 O 0.573 0.993 0.769 1
O36 O 0.609 0.498 0.623 1
O37 O 0.612 0.224 0.628 1
O38 O 0.612 0.652 0.122 1
O39 O 0.630 0.939 0.115 1
O40 O 0.709 0.410 0.775 1
O41 O 0.710 0.849 0.268 1
O42 O 0.744 0.790 0.629 1
O43 O 0.746 0.062 0.613 1
O44 O 0.748 0.646 0.477 1
O45 O 0.749 0.238 0.106 1
O46 O 0.769 0.509 0.118 1
O47 O 0.769 0.657 0.975 1
O48 O 0.831 0.400 0.280 1
O49 O 0.832 0.978 0.775 1
O50 O 0.849 0.319 0.523 1
O51 O 0.856 0.090 0.375 1
O52 O 0.882 0.122 0.201 1
O53 O 0.883 0.347 0.877 1
O54 O 0.884 0.320 0.699 1
O55 O 0.888 0.111 0.026 1
O56 O 0.907 0.812 0.121 1
O57 O 0.910 0.657 0.618 1
O58 O 0.989 0.701 0.269 1
```

Properties
* relative energy among the computed polymorphs: 9.2 meV per atom
* energy of formation from the pure elements: -2523.7 meV/atom

8.
Below is an optimized crystal structure of KV6O11, with properties calculated at the GGA+U level.

Geometry as CIF:
```
data_KV6O11
_space_group_name_H-M_alt 'P 63/m m c'
_space_group_IT_number 194
_space_group_name_Hall '-P 6c 2c'
_cell_length_a 5.8875
_cell_length_b 5.8875
_cell_length_c 13.6191
_cell_angle_alpha 90.00
_cell_angle_beta 90.00
_cell_angle_gamma 120.00
loop_
_atom_site_label
_atom_site_type_symbol
_atom_site_fract_x
_atom_site_fract_y
_atom_site_fract_z
_atom_site_occupancy
K1 K 0.3333 0.6667 0.2500 1
V1 V 0.0000 0.0000 0.1490 1
V2 V 0.0000 0.5000 0.0000 1
V3 V 0.3333 0.6667 0.7500 1
O1 O 0.1477 0.2954 0.7500 1
O2 O 0.1737 0.3475 0.0741 1
O3 O 0.3333 0.6667 0.5830 1
```

Properties
* relative energy among the computed polymorphs: 0.0 meV per atom
* energy of formation from the pure elements: -2474.0 meV/atom

no.,calculated density (g cm⁻³)
1,1.49
2,3.24
3,4.44
4,3.72
5,4.49
6,2.90
7,2.48
8,4.23